The following is a DFT calculation (GGA-PBE) of a geometry-optimized Mg structure.

Lattice parameters (Å, degrees): 3.1859 3.1859 3.1859 60.00 60.00 60.00
Atoms (fractional coordinates):
Mg 0.0000 0.0000 0.0000

Computed properties:
- energy above the most stable polymorph in this dataset (meV/atom) = 0
- ΔE_f (meV/atom) = 0
- symmetry = No. 225

***

The following is a DFT calculation (GGA-PBE) of a geometry-optimized BaBrCl structure.

Lattice parameters (Å, degrees): 4.8928 8.3226 9.6378 90.00 90.00 90.00
Atoms (fractional coordinates):
Br 0.7500 0.4707 0.3314
Ba 0.2500 0.2645 0.1204
Br 0.7500 0.9707 0.1686
Ba 0.2500 0.7645 0.3796
Br 0.2500 0.5293 0.6686
Cl 0.2500 0.1426 0.4314
Br 0.2500 0.0293 0.8314
Cl 0.2500 0.6426 0.0686
Ba 0.7500 0.7355 0.8796
Cl 0.7500 0.8574 0.5686
Cl 0.7500 0.3574 0.9314
Ba 0.7500 0.2355 0.6204

Computed properties:
- energy above the most stable polymorph in this dataset (meV/atom) = 0
- ΔE_f (meV/atom) = -2611
- symmetry = No. 62

***

The following is a DFT calculation (GGA-PBE) of a geometry-optimized Ba2NdReO6 structure.

Lattice parameters (Å, degrees): 6.0825 6.0724 8.5939 90.00 89.88 90.00
Atoms (fractional coordinates):
O 0.4543 0.4928 0.7717
O 0.7066 0.7510 0.9751
Ba 0.9967 0.5161 0.7496
Ba 0.0033 0.4839 0.2504
Nd 0.0000 0.0000 0.0000
Re 0.5000 0.5000 0.0000
Ba 0.4967 0.9839 0.2496
Re 0.0000 0.0000 0.5000
O 0.0457 0.9928 0.7283
O 0.7489 0.7931 0.5239
Ba 0.5033 0.0161 0.7504
Nd 0.5000 0.5000 0.5000
O 0.5457 0.5072 0.2283
O 0.9543 0.0072 0.2717
O 0.2489 0.7069 0.0239
O 0.7934 0.2510 0.5249
O 0.7511 0.2931 0.9761
O 0.2066 0.7490 0.4751
O 0.2511 0.2069 0.4761
O 0.2934 0.2490 0.0249

Computed properties:
- magnetic moment (μB per atom) = 0.20
- ΔE_f (meV/atom) = -2949
- symmetry = No. 14

***

The following is a DFT calculation (GGA-PBE) of a geometry-optimized K5Li2PrF10 structure.

Lattice parameters (Å, degrees): 7.0138 7.8591 21.0059 90.00 90.00 90.00
Atoms (fractional coordinates):
F 0.6586 0.0419 0.5900
F 0.6925 0.7500 0.7190
F 0.7089 0.2500 0.7403
F 0.3131 0.2500 0.6263
F 0.7911 0.2500 0.2403
Li 0.5309 0.2500 0.5773
F 0.1869 0.2500 0.1263
K 0.4268 0.4726 0.7170
K 0.9268 0.9726 0.7830
Li 0.8404 0.2500 0.3264
Pr 0.7606 0.7500 0.1073
F 0.5037 0.4260 0.8524
F 0.0037 0.5740 0.6476
K 0.2480 0.9783 0.0433
Li 0.4691 0.7500 0.4227
F 0.1058 0.7500 0.1313
F 0.1586 0.5419 0.9100
Pr 0.2394 0.2500 0.8927
Li 0.9691 0.2500 0.0773
Pr 0.2606 0.2500 0.3927
F 0.3414 0.9581 0.4100
K 0.0732 0.4726 0.2170
K 0.2520 0.9783 0.5433
F 0.1925 0.2500 0.7810
F 0.5427 0.7500 0.0195
F 0.8414 0.0419 0.0900
F 0.6869 0.7500 0.3737
K 0.0612 0.7500 0.3595
F 0.4573 0.2500 0.9805
Li 0.3404 0.7500 0.1736
F 0.8131 0.7500 0.8737
F 0.3414 0.5419 0.4100
F 0.8414 0.4581 0.0900
F 0.3075 0.2500 0.2810
F 0.0037 0.9260 0.6476
F 0.8942 0.2500 0.8687
K 0.2480 0.5217 0.0433
K 0.5612 0.2500 0.1405
K 0.4388 0.7500 0.8595
F 0.1586 0.9581 0.9100
F 0.4963 0.9260 0.1476
K 0.7520 0.0217 0.9567
F 0.3942 0.7500 0.6313
F 0.9573 0.7500 0.5195
F 0.6586 0.4581 0.5900
K 0.5732 0.9726 0.2830
F 0.0427 0.2500 0.4805
K 0.5732 0.5274 0.2830
F 0.6058 0.2500 0.3687
F 0.0467 0.2500 0.9913
K 0.9268 0.5274 0.7830
F 0.2089 0.7500 0.7597
F 0.4963 0.5740 0.1476
F 0.9963 0.0740 0.3524
K 0.7480 0.4783 0.4567
F 0.4533 0.2500 0.4913
Li 0.0309 0.7500 0.9227
F 0.2911 0.7500 0.2597
K 0.0732 0.0274 0.2170
F 0.5467 0.7500 0.5087
K 0.7520 0.4783 0.9567
Pr 0.7394 0.7500 0.6073
F 0.9963 0.4260 0.3524
K 0.2520 0.5217 0.5433
F 0.9533 0.7500 0.0087
Li 0.6596 0.2500 0.8264
K 0.7480 0.0217 0.4567
K 0.4268 0.0274 0.7170
F 0.8075 0.7500 0.2190
K 0.9388 0.2500 0.6405
F 0.5037 0.0740 0.8524
Li 0.1596 0.7500 0.6736

Computed properties:
- magnetic moment (μB per atom) = 0.00
- ΔE_f (meV/atom) = -3333
- symmetry = No. 62

***

The following is a DFT calculation (GGA-PBE) of a geometry-optimized Sr2MgCuAg2S2O2 structure.

Lattice parameters (Å, degrees): 4.0186 4.0186 14.5438 97.94 97.94 90.00
Atoms (fractional coordinates):
Ag 0.2500 0.7500 0.5000
Ag 0.7500 0.2500 0.5000
O 0.5000 0.0000 0.0000
Mg 0.5000 0.5000 0.0000
S 0.1417 0.1417 0.2835
Sr 0.3545 0.3545 0.7090
S 0.8583 0.8583 0.7165
Sr 0.6455 0.6455 0.2910
Cu 0.0000 0.0000 0.0000
O 0.0000 0.5000 0.0000

Computed properties:
- magnetic moment (μB per atom) = 0.00
- energy above the most stable polymorph in this dataset (meV/atom) = 86
- ΔE_f (meV/atom) = -1340
- symmetry = No. 139

***

The following is a DFT calculation (GGA-PBE) of a geometry-optimized Sm2Mn2Al2Fe13C structure.

Lattice parameters (Å, degrees): 6.4860 6.4386 6.4215 83.24 83.31 82.83
Atoms (fractional coordinates):
Fe 0.8544 0.3404 0.3449
Fe 0.3431 0.3436 0.8515
Fe 0.7167 0.2868 0.0007
Fe 0.3404 0.8517 0.3448
C 0.5000 0.5000 0.0000
Fe 0.0025 0.7164 0.2859
Mn 0.0000 0.5000 0.0000
Fe 0.9975 0.2836 0.7141
Fe 0.2833 0.7132 0.9993
Fe 0.1456 0.6596 0.6551
Al 0.1051 0.1014 0.1027
Fe 0.5000 0.0000 0.0000
Mn 0.0000 0.0000 0.5000
Sm 0.6550 0.6551 0.6399
Fe 0.2784 0.9974 0.7177
Al 0.8949 0.8986 0.8973
Fe 0.7216 0.0026 0.2823
Fe 0.6596 0.1483 0.6552
Fe 0.6569 0.6564 0.1485
Sm 0.3450 0.3449 0.3601

Computed properties:
- magnetic moment (μB per atom) = 1.27
- ΔE_f (meV/atom) = -58
- symmetry = No. 2

***

The following is a DFT calculation (GGA-PBE) of a geometry-optimized NaCaPH18SO12 structure.

Lattice parameters (Å, degrees): 10.8522 10.8522 10.8522 90.00 90.00 90.00
Atoms (fractional coordinates):
O 0.9621 0.2770 0.6308
H 0.2076 0.0403 0.7117
H 0.6391 0.3935 0.6350
O 0.5620 0.9703 0.6298
H 0.4219 0.5160 0.7192
O 0.3914 0.5439 0.6369
O 0.1020 0.7188 0.1422
H 0.1932 0.6151 0.3973
H 0.1065 0.3650 0.1391
O 0.4561 0.1369 0.1086
O 0.2770 0.6308 0.9621
O 0.1086 0.4561 0.1369
H 0.1027 0.8068 0.1151
O 0.6086 0.0439 0.8631
H 0.6151 0.3973 0.1932
H 0.1151 0.1027 0.8068
H 0.7808 0.5781 0.0160
O 0.1298 0.9380 0.0297
H 0.0749 0.5710 0.6571
H 0.5710 0.6571 0.0749
H 0.5781 0.0160 0.7808
H 0.1986 0.2851 0.4400
O 0.6422 0.3980 0.2812
O 0.5379 0.7230 0.1308
O 0.8914 0.9561 0.3631
O 0.0439 0.8631 0.6086
S 0.8314 0.6686 0.3314
H 0.7117 0.2076 0.0403
Ca 0.9383 0.0617 0.5617
H 0.4840 0.2192 0.0781
H 0.3609 0.8935 0.8650
H 0.9290 0.3429 0.5749
H 0.7851 0.0600 0.8014
H 0.5403 0.7883 0.7924
H 0.5749 0.9290 0.3429
O 0.0297 0.1298 0.9380
H 0.1391 0.1065 0.3650
S 0.3314 0.8314 0.6686
H 0.8068 0.1151 0.1027
H 0.0403 0.7117 0.2076
O 0.6020 0.7812 0.8578
H 0.2808 0.9219 0.9840
H 0.5160 0.7192 0.4219
O 0.3980 0.2812 0.6422
Na 0.1822 0.3178 0.6822
O 0.7770 0.8692 0.0379
H 0.8014 0.7851 0.0600
O 0.1422 0.1020 0.7188
H 0.3650 0.1391 0.1065
S 0.1686 0.1686 0.1686
O 0.3631 0.8914 0.9561
Ca 0.0617 0.5617 0.9383
H 0.6027 0.6932 0.8849
H 0.8609 0.6065 0.1350
H 0.9400 0.3014 0.7149
H 0.9251 0.0710 0.8429
O 0.4621 0.2230 0.3692
H 0.2149 0.5600 0.6986
Ca 0.5617 0.9383 0.0617
O 0.8631 0.6086 0.0439
O 0.2230 0.3692 0.4621
Ca 0.4383 0.4383 0.4383
O 0.6369 0.3914 0.5439
P 0.4412 0.9412 0.5588
H 0.3973 0.1932 0.6151
H 0.3849 0.8973 0.3068
O 0.0620 0.5297 0.3702
O 0.7812 0.8578 0.6020
Na 0.6822 0.1822 0.3178
O 0.6308 0.9621 0.2770
H 0.7883 0.7924 0.5403
H 0.8429 0.9251 0.0710
Na 0.3178 0.6822 0.1822
H 0.0600 0.8014 0.7851
H 0.8935 0.8650 0.3609
O 0.5297 0.3702 0.0620
H 0.4400 0.1986 0.2851
O 0.2812 0.6422 0.3980
H 0.7149 0.9400 0.3014
H 0.9219 0.9840 0.2808
O 0.0379 0.7770 0.8692
P 0.5588 0.4412 0.9412
O 0.7230 0.1308 0.5379
O 0.1308 0.5379 0.7230
O 0.6298 0.5620 0.9703
H 0.6986 0.2149 0.5600
H 0.9840 0.2808 0.9219
H 0.2117 0.2924 0.9597
H 0.3935 0.6350 0.6391
O 0.4703 0.8702 0.4380
H 0.3068 0.3849 0.8973
H 0.2924 0.9597 0.2117
H 0.0160 0.7808 0.5781
O 0.8980 0.2188 0.3578
O 0.8692 0.0379 0.7770
H 0.4251 0.4290 0.1571
O 0.3692 0.4621 0.2230
H 0.5600 0.6986 0.2149
H 0.0781 0.4840 0.2192
O 0.3578 0.8980 0.2188
S 0.6686 0.3314 0.8314
H 0.7192 0.4219 0.5160
H 0.8849 0.6027 0.6932
O 0.1369 0.1086 0.4561
O 0.4380 0.4703 0.8702
H 0.3014 0.7149 0.9400
H 0.1571 0.4251 0.4290
O 0.9561 0.3631 0.8914
H 0.6571 0.0749 0.5710
H 0.7076 0.4597 0.2883
H 0.8650 0.3609 0.8935
H 0.4597 0.2883 0.7076
H 0.1350 0.8609 0.6065
P 0.0588 0.0588 0.0588
O 0.3702 0.0620 0.5297
H 0.6065 0.1350 0.8609
H 0.2192 0.0781 0.4840
O 0.2188 0.3578 0.8980
H 0.2851 0.4400 0.1986
O 0.5439 0.6369 0.3914
O 0.8578 0.6020 0.7812
H 0.7924 0.5403 0.7883
H 0.3429 0.5749 0.9290
O 0.8702 0.4380 0.4703
Na 0.8178 0.8178 0.8178
H 0.2883 0.7076 0.4597
H 0.9597 0.2117 0.2924
H 0.0710 0.8429 0.9251
H 0.8973 0.3068 0.3849
O 0.9380 0.0297 0.1298
H 0.6932 0.8849 0.6027
O 0.9703 0.6298 0.5620
H 0.6350 0.6391 0.3935
P 0.9412 0.5588 0.4412
H 0.4290 0.1571 0.4251
O 0.7188 0.1422 0.1020

Computed properties:
- magnetic moment (μB per atom) = 0.00
- ΔE_f (meV/atom) = -1536
- symmetry = No. 198

***

The following is a DFT calculation (GGA-PBE) of a geometry-optimized La2PI2 structure.

Lattice parameters (Å, degrees): 4.3360 4.3360 11.0604 90.00 90.00 120.00
Atoms (fractional coordinates):
La 0.6667 0.3333 0.1461
I 0.6667 0.3333 0.6606
La 0.3333 0.6667 0.8539
I 0.3333 0.6667 0.3394
P 0.0000 0.0000 0.0000

Computed properties:
- ΔE_f (meV/atom) = -1759
- symmetry = No. 164

***

The following is a DFT calculation (GGA-PBE) of a geometry-optimized Rb6Al4Sb6O21 structure.

Lattice parameters (Å, degrees): 15.8297 15.8297 8.7285 89.71 89.71 21.03
Atoms (fractional coordinates):
O 0.7183 0.7183 0.7449
Sb 0.1095 0.1095 0.8474
O 0.5964 0.0057 0.6949
O 0.0561 0.0561 0.7266
O 0.7733 0.2733 0.2765
O 0.2733 0.7733 0.2765
O 0.3956 0.3956 0.7095
O 0.3869 0.8854 0.7256
Rb 0.2263 0.2263 0.6065
O 0.2817 0.2817 0.2551
O 0.0000 0.0000 0.0000
O 0.6131 0.1146 0.2744
Sb 0.2245 0.2245 0.1503
O 0.9439 0.9439 0.2734
Sb 0.4462 0.4462 0.8327
O 0.1146 0.6131 0.2744
O 0.2267 0.7267 0.7235
O 0.6713 0.6713 0.9988
O 0.7267 0.2267 0.7235
Al 0.6631 0.6631 0.7957
O 0.6044 0.6044 0.2905
Rb 0.4440 0.4440 0.4091
O 0.8854 0.3869 0.7256
Al 0.0024 0.0024 0.8020
Rb 0.1163 0.1163 0.3846
Al 0.9976 0.9976 0.1980
Rb 0.8837 0.8837 0.6154
Sb 0.7755 0.7755 0.8497
Rb 0.5560 0.5560 0.5909
O 0.3287 0.3287 0.0012
O 0.0057 0.5964 0.6949
Al 0.3369 0.3369 0.2043
Rb 0.7737 0.7737 0.3935
Sb 0.5538 0.5538 0.1673
O 0.4036 0.9943 0.3051
Sb 0.8905 0.8905 0.1526
O 0.9943 0.4036 0.3051

Computed properties:
- magnetic moment (μB per atom) = 0.16
- ΔE_f (meV/atom) = -1995
- symmetry = No. 12

***

The following is a DFT calculation (GGA-PBE) of a geometry-optimized K8TeP8H10O32 structure.

Lattice parameters (Å, degrees): 8.0973 11.0476 11.6577 109.06 94.27 108.21
Atoms (fractional coordinates):
O 0.1272 0.2312 0.4246
O 0.7313 0.3408 0.6692
O 0.2462 0.1105 0.0101
O 0.0965 0.6472 0.5577
O 0.8069 0.4101 0.2656
O 0.0070 0.3314 0.1199
O 0.7920 0.1062 0.4171
O 0.4932 0.4512 0.8103
P 0.8755 0.3032 0.7187
O 0.6351 0.1797 0.2815
P 0.1245 0.6968 0.2813
O 0.6610 0.7809 0.2543
O 0.1931 0.5899 0.7343
O 0.9035 0.3528 0.4423
K 0.6903 0.5848 0.6743
H 0.5762 0.0741 0.6374
H 0.4326 0.6022 0.2198
H 0.6952 0.1302 0.3331
O 0.1597 0.8119 0.2366
K 0.5337 0.1011 0.8822
O 0.0187 0.4400 0.8346
O 0.1004 0.8238 0.9195
K 0.6149 0.8261 0.4857
P 0.2725 0.6636 0.6443
H 0.4238 0.9259 0.3626
K 0.6945 0.6458 0.0262
H 0.5190 0.9740 0.3839
O 0.3649 0.8203 0.7185
O 0.8996 0.1762 0.0805
O 0.5068 0.5488 0.1897
P 0.7275 0.3364 0.3557
O 0.2080 0.8938 0.5829
K 0.3851 0.1739 0.5143
P 0.9604 0.2324 0.4691
O 0.2886 0.6476 0.9659
O 0.7538 0.8895 0.9899
O 0.9813 0.5600 0.1654
O 0.2687 0.6592 0.3308
O 0.3390 0.2191 0.7457
O 0.9930 0.6686 0.8801
K 0.3097 0.4152 0.3257
K 0.3055 0.3542 0.9738
H 0.7638 0.7609 0.2798
O 0.8403 0.1881 0.7634
P 0.8640 0.4050 0.1362
O 0.3816 0.5928 0.5739
O 0.7114 0.3524 0.0341
P 0.0396 0.7676 0.5309
H 0.3048 0.8698 0.6669
K 0.4663 0.8989 0.1178
O 0.6184 0.4072 0.4261
O 0.9940 0.7131 0.3820
O 0.8728 0.7688 0.5754
H 0.5674 0.3978 0.7802
Te 0.0000 0.0000 0.0000
H 0.2362 0.2391 0.7202
O 0.0060 0.2869 0.6180
P 0.1360 0.5950 0.8638
H 0.4810 0.0260 0.6161

Computed properties:
- magnetic moment (μB per atom) = 0.03
- energy above the most stable polymorph in this dataset (meV/atom) = 339
- ΔE_f (meV/atom) = -1893
- symmetry = No. 2